Computed, not measured: SbP2O7 after structural relaxation at the PBE level of DFT.

Properties
E (MP2020), eV per atom: -7.296
E above lowest polymorph, meV/atom: 51
ΔE_f, meV per atom: -2336

Lattice parameters (Å, degrees): 5.2824 8.9804 13.8839 63.60 90.00 90.00
With the nearest neighbours (Å) after each atom.
Sites, in units of the cell vectors:
O 0.5446 0.2887 0.8659  1 P 1.54
O 0.3892 0.7602 0.4444  1 P 1.53
O 0.6108 0.2398 0.5556  1 P 1.53
O 0.4512 0.3122 0.0954  1 P 1.54
O 0.3348 0.5272 0.3856  1 P 1.54
O 0.9807 0.7573 0.1440  1 P 1.54
O 0.2168 0.0062 0.5581  1 P 1.52
Sb 0.2610 0.2686 0.4724  6 O 2.09-2.22
O 0.5488 0.6878 0.9046  1 P 1.54
P 0.7348 0.3079 0.1209  4 O 1.53-1.61
O 0.7217 0.1711 0.7437  2 P 1.61
O 0.8348 0.4728 0.1144  1 P 1.54
O 0.2217 0.8289 0.7563  2 P 1.61
O 0.6652 0.4728 0.6144  1 P 1.54
P 0.7507 0.1731 0.8587  4 O 1.52-1.61
O 0.0488 0.3122 0.5954  1 P 1.54
P 0.7493 0.1731 0.3587  4 O 1.52-1.61
O 0.0193 0.2427 0.8560  1 P 1.54
Sb 0.7390 0.7314 0.5276  6 O 2.09-2.22
Sb 0.2390 0.2686 0.9724  6 O 2.09-2.22
P 0.2652 0.6921 0.8791  4 O 1.53-1.61
Sb 0.7610 0.7314 0.0276  6 O 2.09-2.22
O 0.7783 0.1711 0.2437  2 P 1.61
O 0.2832 0.0062 0.0581  1 P 1.52
O 0.9554 0.2887 0.3659  1 P 1.54
O 0.2783 0.8289 0.2563  2 P 1.61
P 0.2348 0.6921 0.3791  4 O 1.53-1.61
O 0.4554 0.7113 0.1341  1 P 1.54
O 0.1108 0.7602 0.9444  1 P 1.53
P 0.2493 0.8269 0.1413  4 O 1.52-1.61
P 0.2507 0.8269 0.6413  4 O 1.52-1.61
O 0.7832 0.9938 0.4419  1 P 1.52
O 0.0446 0.7113 0.6341  1 P 1.54
O 0.1652 0.5272 0.8856  1 P 1.54
O 0.9512 0.6878 0.4046  1 P 1.54
O 0.7168 0.9938 0.9419  1 P 1.52
O 0.4807 0.2427 0.3560  1 P 1.54
O 0.5193 0.7573 0.6440  1 P 1.54
P 0.7652 0.3079 0.6209  4 O 1.53-1.61
O 0.8892 0.2398 0.0556  1 P 1.53